(1)
The following is a DFT calculation (PBE) of NdSnAu after structural relaxation.

Results
**Formation enthalpy at 0 K**: -0.78 eV/atom
**Space-group type**: No. 194
**Electronic total energy**: -28.8 eV/cell

Lattice parameters (Å, degrees): 4.7481 4.7481 7.9343 90.00 90.00 120.00
Last column: nearest neighbours and their distance in Å.
Positions (direct):
Nd  0.0000  0.0000  0.0000  6 Au 3.38, 6 Sn 3.38
Nd  0.0000  0.0000  0.5000  6 Sn 3.38, 6 Au 3.38
Sn  0.3333  0.6667  0.2500  3 Au 2.74
Sn  0.6667  0.3333  0.7500  3 Au 2.74
Au  0.3333  0.6667  0.7500  3 Sn 2.74
Au  0.6667  0.3333  0.2500  3 Sn 2.74

---

(2)
The following is a DFT calculation (PBE) of YCu2 after structural relaxation.

Results
**Formation enthalpy at 0 K**: -0.26 eV/atom
**Space-group type**: No. 74
**Electronic total energy**: -61.8 eV/cell

Lattice parameters (Å, degrees): 4.2686 6.8966 7.2668 90.00 90.00 90.00
Last column: nearest neighbours and their distance in Å.
Positions (direct):
Y  0.0000  0.2500  0.0398  12 Cu 2.94-3.11
Y  0.0000  0.7500  0.9602  12 Cu 2.94-3.11
Y  0.5000  0.2500  0.4602  12 Cu 2.94-3.11
Y  0.5000  0.7500  0.5398  12 Cu 2.94-3.11
Cu  0.0000  0.0498  0.6645  4 Cu 2.47-2.76
Cu  0.0000  0.4502  0.6645  4 Cu 2.47-2.76
Cu  0.0000  0.5498  0.3355  4 Cu 2.47-2.76
Cu  0.0000  0.9502  0.3355  4 Cu 2.47-2.76
Cu  0.5000  0.0498  0.8355  4 Cu 2.47-2.76
Cu  0.5000  0.4502  0.8355  4 Cu 2.47-2.76
Cu  0.5000  0.5498  0.1645  4 Cu 2.47-2.76
Cu  0.5000  0.9502  0.1645  4 Cu 2.47-2.76

---

(3)
The following is a DFT calculation (PBE) of AsPb2Cl2O3 after structural relaxation.

Results
**Corrected total energy (MP2020 scheme)**: -82.761 eV per cell
**Formation enthalpy at 0 K**: -1.34 eV/atom
**Space-group type**: No. 11
**Electronic total energy**: -78.6 eV/cell

Lattice parameters (Å, degrees): 6.9106 5.7029 9.1157 90.00 90.37 90.00
Last column: nearest neighbours and their distance in Å.
Positions (direct):
As  0.2334  0.2500  0.2137  3 O 1.71-1.79
As  0.7666  0.7500  0.7863  3 O 1.71-1.79
Pb  0.0776  0.2500  0.6418  3 O 2.44-2.69
Pb  0.2067  0.7500  0.9495  4 O 2.50-2.59
Pb  0.7933  0.2500  0.0505  4 O 2.50-2.59
Pb  0.9224  0.7500  0.3582  3 O 2.44-2.69
Cl  0.2292  0.7500  0.6003  4 Pb 3.05-3.19, 3 O 3.16-3.38
Cl  0.3914  0.2500  0.8608  4 Pb 2.94-3.26
Cl  0.6086  0.7500  0.1392  4 Pb 2.94-3.26
Cl  0.7708  0.2500  0.3997  4 Pb 3.05-3.19, 3 O 3.16-3.38
O  0.0864  0.0134  0.1487  1 As 1.79
O  0.0864  0.4866  0.1487  1 As 1.79
O  0.2283  0.2500  0.4008  1 As 1.71
O  0.7717  0.7500  0.5992  1 As 1.71
O  0.9136  0.5134  0.8513  1 As 1.79
O  0.9136  0.9866  0.8513  1 As 1.79